{"formula": "Li6CrSn3P6O24", "functional": "PBE+U", "state": "relaxed", "magmom_total_mub_per_cell": 3.999, "sg": "P1", "cell": [[8.516, 0.000, 0.000], [3.713, 7.792, 0.000], [3.627, 2.525, 7.453]], "species": ["Li", "Li", "Li", "Li", "Li", "Li", "Cr", "Sn", "Sn", "Sn", "P", "P", "P", "P", "P", "P", "O", "O", "O", "O", "O", "O", "O", "O", "O", "O", "O", "O", "O", "O", "O", "O", "O", "O", "O", "O", "O", "O", "O", "O"], "fractional_positions": [[0.000, 0.000, 0.000], [0.054, 0.493, 0.932], [0.376, 0.143, 0.728], [0.522, 0.839, 0.122], [0.701, 0.311, 0.486], [0.830, 0.605, 0.285], [0.687, 0.464, 0.104], [0.200, 0.980, 0.620], [0.497, 0.293, 0.925], [0.989, 0.774, 0.402], [0.078, 0.180, 0.211], [0.266, 0.690, 0.010], [0.396, 0.589, 0.506], [0.582, 0.046, 0.327], [0.801, 0.870, 0.815], [0.919, 0.373, 0.671], [0.021, 0.025, 0.221], [0.080, 0.731, 0.156], [0.107, 0.218, 0.676], [0.137, 0.118, 0.380], [0.221, 0.222, 0.028], [0.246, 0.650, 0.417], [0.251, 0.557, 0.948], [0.260, 0.884, 0.864], [0.346, 0.729, 0.597], [0.414, 0.394, 0.643], [0.436, 0.628, 0.067], [0.443, 0.040, 0.517], [0.507, 0.035, 0.201], [0.579, 0.587, 0.358], [0.610, 0.009, 0.835], [0.638, 0.217, 0.260], [0.747, 0.869, 0.348], [0.785, 0.306, 0.661], [0.792, 0.698, 0.985], [0.867, 0.430, 0.833], [0.874, 0.826, 0.639], [0.912, 0.355, 0.213], [0.948, 0.530, 0.488], [0.949, 0.939, 0.809]]}

***

{"formula": "Li4Fe5Co2O12", "functional": "PBE+U", "state": "relaxed", "magmom_total_mub_per_cell": 52.000, "sg": "P2_1", "cell": [[5.228, 0.000, 0.000], [0.000, 8.916, 0.000], [-1.581, 0.000, 9.683]], "species": ["Li", "Li", "Li", "Li", "Li", "Li", "Li", "Li", "Fe", "Fe", "Fe", "Fe", "Fe", "Fe", "Fe", "Fe", "Fe", "Fe", "Co", "Co", "Co", "Co", "O", "O", "O", "O", "O", "O", "O", "O", "O", "O", "O", "O", "O", "O", "O", "O", "O", "O", "O", "O", "O", "O", "O", "O"], "fractional_positions": [[0.002, 0.000, 0.256], [0.013, 0.327, 0.258], [0.261, 0.494, 0.497], [0.483, 0.313, 0.747], [0.517, 0.813, 0.253], [0.739, 0.994, 0.503], [0.987, 0.827, 0.742], [0.998, 0.500, 0.744], [0.010, 0.654, 0.259], [0.244, 0.329, 0.003], [0.251, 0.832, 0.503], [0.259, 0.989, 0.997], [0.497, 0.662, 0.743], [0.503, 0.162, 0.257], [0.741, 0.489, 0.003], [0.749, 0.332, 0.497], [0.756, 0.829, 0.997], [0.990, 0.154, 0.741], [0.255, 0.158, 0.506], [0.256, 0.656, 0.007], [0.744, 0.156, 0.993], [0.745, 0.658, 0.494], [0.096, 0.490, 0.119], [0.112, 0.827, 0.120], [0.115, 0.007, 0.609], [0.118, 0.311, 0.618], [0.148, 0.158, 0.124], [0.151, 0.674, 0.634], [0.346, 0.163, 0.880], [0.352, 0.678, 0.373], [0.364, 0.007, 0.386], [0.374, 0.306, 0.390], [0.387, 0.491, 0.879], [0.393, 0.819, 0.887], [0.607, 0.319, 0.113], [0.613, 0.991, 0.121], [0.626, 0.806, 0.610], [0.636, 0.507, 0.614], [0.648, 0.178, 0.627], [0.654, 0.663, 0.120], [0.849, 0.174, 0.366], [0.852, 0.658, 0.876], [0.882, 0.811, 0.382], [0.885, 0.507, 0.391], [0.888, 0.327, 0.880], [0.904, 0.990, 0.881]]}

***

{"formula": "Li2VCuP2O8", "functional": "PBE+U", "state": "relaxed", "magmom_total_mub_per_cell": 4.000, "sg": "P2_1/m", "cell": [[4.753, 0.000, 0.000], [0.000, 6.083, 0.000], [-0.161, 0.000, 10.301]], "species": ["Li", "Li", "Li", "Li", "V", "V", "Cu", "Cu", "P", "P", "P", "P", "O", "O", "O", "O", "O", "O", "O", "O", "O", "O", "O", "O", "O", "O", "O", "O"], "fractional_positions": [[0.000, 0.000, 0.000], [0.000, 0.500, 0.000], [0.500, 0.000, 0.500], [0.500, 0.500, 0.500], [0.016, 0.250, 0.280], [0.984, 0.750, 0.720], [0.450, 0.250, 0.784], [0.550, 0.750, 0.216], [0.077, 0.750, 0.408], [0.414, 0.750, 0.904], [0.586, 0.250, 0.096], [0.923, 0.250, 0.592], [0.201, 0.542, 0.339], [0.201, 0.958, 0.339], [0.215, 0.750, 0.547], [0.246, 0.250, 0.591], [0.263, 0.250, 0.103], [0.268, 0.552, 0.831], [0.268, 0.948, 0.831], [0.304, 0.750, 0.044], [0.696, 0.250, 0.956], [0.732, 0.052, 0.169], [0.732, 0.448, 0.169], [0.737, 0.750, 0.897], [0.754, 0.750, 0.409], [0.785, 0.250, 0.453], [0.799, 0.042, 0.661], [0.799, 0.458, 0.661]]}

***

{"formula": "Ba3Sr5Co4Cu4O24", "functional": "PBE+U", "state": "relaxed", "magmom_total_mub_per_cell": 16.246, "sg": "Cm", "cell": [[5.611, -5.607, 0.000], [5.611, 5.607, 0.000], [-0.003, 0.000, 7.823]], "species": ["Ba", "Ba", "Ba", "Sr", "Sr", "Sr", "Sr", "Sr", "Co", "Co", "Co", "Co", "Cu", "Cu", "Cu", "Cu", "O", "O", "O", "O", "O", "O", "O", "O", "O", "O", "O", "O", "O", "O", "O", "O", "O", "O", "O", "O", "O", "O", "O", "O"], "fractional_positions": [[0.000, 0.000, 0.000], [0.000, 0.504, 0.000], [0.504, 0.000, 0.000], [0.505, 0.505, 0.503], [0.505, 0.505, 0.999], [0.506, 0.997, 0.503], [0.997, 0.506, 0.503], [0.999, 0.999, 0.503], [0.253, 0.253, 0.258], [0.253, 0.750, 0.255], [0.255, 0.255, 0.749], [0.750, 0.253, 0.255], [0.252, 0.752, 0.750], [0.752, 0.252, 0.750], [0.752, 0.752, 0.253], [0.752, 0.752, 0.751], [0.002, 0.253, 0.741], [0.003, 0.751, 0.264], [0.003, 0.751, 0.737], [0.015, 0.252, 0.261], [0.252, 0.015, 0.261], [0.252, 0.751, 0.491], [0.253, 0.002, 0.741], [0.253, 0.253, 0.517], [0.255, 0.255, 0.983], [0.256, 0.490, 0.258], [0.256, 0.503, 0.745], [0.257, 0.747, 0.015], [0.490, 0.256, 0.258], [0.500, 0.746, 0.742], [0.501, 0.747, 0.259], [0.503, 0.256, 0.745], [0.745, 0.745, 0.002], [0.746, 0.500, 0.742], [0.747, 0.257, 0.015], [0.747, 0.501, 0.259], [0.749, 0.749, 0.502], [0.751, 0.003, 0.264], [0.751, 0.003, 0.737], [0.751, 0.252, 0.491]]}

***

{"formula": "Ba3Mn2O8", "functional": "PBE+U", "state": "relaxed", "cell": [[-3.117, 4.902, 0.000], [-7.710, -4.902, 4.214], [2.289, 4.897, 5.881]], "species": ["O", "O", "Ba", "Ba", "Ba", "Ba", "Mn", "O", "O", "O", "O", "O", "Ba", "Mn", "O", "Mn", "O", "Ba", "O", "O", "O", "O", "O", "Mn", "O", "O"], "fractional_positions": [[0.910, 0.363, 0.697], [0.848, 0.878, 0.303], [0.500, 0.500, 0.000], [0.689, 0.104, 0.623], [0.811, 0.396, 0.377], [0.000, 0.000, 0.000], [0.111, 0.296, 0.778], [0.652, 0.622, 0.697], [0.393, 0.363, 0.697], [0.893, 0.863, 0.697], [0.152, 0.122, 0.697], [0.107, 0.137, 0.303], [0.311, 0.896, 0.377], [0.611, 0.796, 0.778], [0.506, 0.165, 0.987], [0.889, 0.704, 0.222], [0.590, 0.137, 0.303], [0.189, 0.604, 0.623], [0.607, 0.637, 0.303], [0.494, 0.835, 0.013], [0.090, 0.637, 0.303], [0.348, 0.378, 0.303], [0.006, 0.665, 0.987], [0.389, 0.204, 0.222], [0.994, 0.335, 0.013], [0.410, 0.863, 0.697]]}

***

{"formula": "SrCoO3", "functional": "PBE+U", "state": "relaxed", "magmom_total_mub_per_cell": 12.794, "sg": "Amm2", "cell": [[5.490, 0.000, 0.000], [0.000, 3.909, 5.486], [0.000, -3.909, 5.486]], "species": ["Sr", "Sr", "Sr", "Sr", "Co", "Co", "Co", "Co", "O", "O", "O", "O", "O", "O", "O", "O", "O", "O", "O", "O"], "fractional_positions": [[0.000, 0.245, 0.755], [0.000, 0.755, 0.245], [0.500, 0.493, 0.999], [0.500, 0.999, 0.493], [0.000, 0.248, 0.248], [0.000, 0.754, 0.754], [0.500, 0.498, 0.498], [0.500, 0.997, 0.997], [0.000, 0.009, 0.489], [0.000, 0.489, 0.009], [0.251, 0.867, 0.867], [0.254, 0.118, 0.118], [0.259, 0.618, 0.618], [0.263, 0.380, 0.380], [0.500, 0.226, 0.759], [0.500, 0.759, 0.226], [0.737, 0.380, 0.380], [0.741, 0.618, 0.618], [0.746, 0.118, 0.118], [0.749, 0.867, 0.867]]}

***

{"formula": "Sm3Sc2Fe3O12", "functional": "PBE+U", "state": "relaxed", "magmom_total_mub_per_cell": 60.000, "sg": "Ia-3d", "cell": [[-6.399, 6.399, 6.399], [6.399, -6.399, 6.399], [6.399, 6.399, -6.399]], "species": ["Sm", "Sm", "Sm", "Sm", "Sm", "Sm", "Sm", "Sm", "Sm", "Sm", "Sm", "Sm", "Sc", "Sc", "Sc", "Sc", "Sc", "Sc", "Sc", "Sc", "Fe", "Fe", "Fe", "Fe", "Fe", "Fe", "Fe", "Fe", "Fe", "Fe", "Fe", "Fe", "O", "O", "O", "O", "O", "O", "O", "O", "O", "O", "O", "O", "O", "O", "O", "O", "O", "O", "O", "O", "O", "O", "O", "O", "O", "O", "O", "O", "O", "O", "O", "O", "O", "O", "O", "O", "O", "O", "O", "O", "O", "O", "O", "O", "O", "O", "O", "O"], "fractional_positions": [[0.125, 0.250, 0.375], [0.125, 0.375, 0.750], [0.250, 0.375, 0.125], [0.250, 0.875, 0.625], [0.375, 0.125, 0.250], [0.375, 0.750, 0.125], [0.625, 0.250, 0.875], [0.625, 0.875, 0.750], [0.750, 0.125, 0.375], [0.750, 0.625, 0.875], [0.875, 0.625, 0.250], [0.875, 0.750, 0.625], [0.000, 0.000, 0.000], [0.000, 0.000, 0.500], [0.000, 0.500, 0.000], [0.000, 0.500, 0.500], [0.500, 0.000, 0.000], [0.500, 0.000, 0.500], [0.500, 0.500, 0.000], [0.500, 0.500, 0.500], [0.125, 0.750, 0.875], [0.125, 0.875, 0.250], [0.250, 0.125, 0.875], [0.250, 0.625, 0.375], [0.375, 0.250, 0.625], [0.375, 0.625, 0.750], [0.625, 0.375, 0.250], [0.625, 0.750, 0.375], [0.750, 0.375, 0.625], [0.750, 0.875, 0.125], [0.875, 0.125, 0.750], [0.875, 0.250, 0.125], [0.029, 0.210, 0.125], [0.029, 0.319, 0.904], [0.085, 0.710, 0.681], [0.085, 0.875, 0.404], [0.096, 0.625, 0.415], [0.096, 0.971, 0.681], [0.125, 0.029, 0.210], [0.125, 0.596, 0.915], [0.181, 0.210, 0.585], [0.181, 0.471, 0.596], [0.210, 0.125, 0.029], [0.210, 0.585, 0.181], [0.290, 0.319, 0.915], [0.290, 0.471, 0.375], [0.319, 0.904, 0.029], [0.319, 0.915, 0.290], [0.375, 0.290, 0.471], [0.375, 0.585, 0.904], [0.404, 0.085, 0.875], [0.404, 0.819, 0.529], [0.415, 0.096, 0.625], [0.415, 0.819, 0.790], [0.471, 0.375, 0.290], [0.471, 0.596, 0.181], [0.529, 0.404, 0.819], [0.529, 0.625, 0.710], [0.585, 0.181, 0.210], [0.585, 0.904, 0.375], [0.596, 0.181, 0.471], [0.596, 0.915, 0.125], [0.625, 0.415, 0.096], [0.625, 0.710, 0.529], [0.681, 0.085, 0.710], [0.681, 0.096, 0.971], [0.710, 0.529, 0.625], [0.710, 0.681, 0.085], [0.790, 0.415, 0.819], [0.790, 0.875, 0.971], [0.819, 0.529, 0.404], [0.819, 0.790, 0.415], [0.875, 0.404, 0.085], [0.875, 0.971, 0.790], [0.904, 0.029, 0.319], [0.904, 0.375, 0.585], [0.915, 0.125, 0.596], [0.915, 0.290, 0.319], [0.971, 0.681, 0.096], [0.971, 0.790, 0.875]]}

***

{"formula": "Li4WO5", "functional": "PBE+U", "state": "relaxed", "magmom_total_mub_per_cell": 0.000, "sg": "P-1", "cell": [[5.155, 0.000, 0.000], [-1.029, 5.088, 0.000], [-1.591, -2.848, 7.143]], "species": ["Li", "Li", "Li", "Li", "Li", "Li", "Li", "Li", "W", "W", "O", "O", "O", "O", "O", "O", "O", "O", "O", "O"], "fractional_positions": [[0.000, 0.000, 0.000], [0.067, 0.194, 0.692], [0.198, 0.385, 0.391], [0.276, 0.596, 0.101], [0.500, 0.000, 0.500], [0.724, 0.404, 0.899], [0.802, 0.615, 0.609], [0.933, 0.806, 0.308], [0.391, 0.784, 0.784], [0.609, 0.216, 0.216], [0.072, 0.609, 0.845], [0.166, 0.813, 0.572], [0.279, 0.010, 0.250], [0.369, 0.174, 0.958], [0.448, 0.434, 0.665], [0.552, 0.566, 0.335], [0.631, 0.826, 0.042], [0.721, 0.990, 0.750], [0.834, 0.187, 0.428], [0.928, 0.391, 0.155]]}

***

{"formula": "Ca3Hf2AlFeSiO12", "functional": "PBE+U", "state": "relaxed", "magmom_total_mub_per_cell": 20.004, "sg": "I-42d", "cell": [[-6.337, 6.337, 6.258], [6.337, -6.337, 6.258], [6.337, 6.337, -6.258]], "species": ["Ca", "Ca", "Ca", "Ca", "Ca", "Ca", "Ca", "Ca", "Ca", "Ca", "Ca", "Ca", "Hf", "Hf", "Hf", "Hf", "Hf", "Hf", "Hf", "Hf", "Al", "Al", "Al", "Al", "Fe", "Fe", "Fe", "Fe", "Si", "Si", "Si", "Si", "O", "O", "O", "O", "O", "O", "O", "O", "O", "O", "O", "O", "O", "O", "O", "O", "O", "O", "O", "O", "O", "O", "O", "O", "O", "O", "O", "O", "O", "O", "O", "O", "O", "O", "O", "O", "O", "O", "O", "O", "O", "O", "O", "O", "O", "O", "O", "O"], "fractional_positions": [[0.249, 0.249, 0.000], [0.250, 0.625, 0.125], [0.375, 0.001, 0.126], [0.375, 0.500, 0.625], [0.500, 0.125, 0.875], [0.501, 0.001, 0.500], [0.751, 0.625, 0.626], [0.751, 0.751, 0.000], [0.875, 0.249, 0.874], [0.875, 0.750, 0.375], [0.999, 0.125, 0.374], [0.999, 0.499, 0.500], [0.123, 0.374, 0.749], [0.123, 0.875, 0.751], [0.124, 0.373, 0.249], [0.125, 0.876, 0.248], [0.625, 0.373, 0.251], [0.626, 0.375, 0.748], [0.627, 0.877, 0.252], [0.627, 0.877, 0.752], [0.000, 0.625, 0.875], [0.375, 0.250, 0.375], [0.750, 0.125, 0.125], [0.875, 0.000, 0.625], [0.249, 0.125, 0.624], [0.375, 0.751, 0.876], [0.501, 0.625, 0.376], [0.875, 0.499, 0.124], [0.000, 0.000, 0.000], [0.250, 0.750, 0.500], [0.500, 0.500, 0.000], [0.750, 0.250, 0.500], [0.004, 0.669, 0.731], [0.012, 0.963, 0.138], [0.023, 0.188, 0.769], [0.027, 0.452, 0.123], [0.037, 0.174, 0.048], [0.044, 0.480, 0.871], [0.097, 0.973, 0.426], [0.126, 0.763, 0.551], [0.126, 0.988, 0.952], [0.141, 0.770, 0.064], [0.202, 0.277, 0.623], [0.212, 0.574, 0.449], [0.218, 0.554, 0.718], [0.230, 0.294, 0.371], [0.237, 0.788, 0.363], [0.250, 0.086, 0.782], [0.304, 0.468, 0.218], [0.324, 0.462, 0.949], [0.329, 0.903, 0.877], [0.331, 0.062, 0.335], [0.419, 0.254, 0.231], [0.421, 0.798, 0.074], [0.426, 0.874, 0.637], [0.446, 0.164, 0.664], [0.500, 0.782, 0.336], [0.513, 0.376, 0.051], [0.520, 0.391, 0.564], [0.532, 0.750, 0.836], [0.538, 0.487, 0.863], [0.548, 0.671, 0.574], [0.609, 0.173, 0.129], [0.624, 0.076, 0.362], [0.624, 0.676, 0.137], [0.653, 0.579, 0.377], [0.706, 0.077, 0.936], [0.713, 0.262, 0.638], [0.723, 0.347, 0.926], [0.727, 0.996, 0.665], [0.738, 0.376, 0.452], [0.746, 0.977, 0.165], [0.812, 0.581, 0.835], [0.826, 0.874, 0.862], [0.827, 0.956, 0.436], [0.836, 0.500, 0.282], [0.914, 0.696, 0.164], [0.923, 0.859, 0.629], [0.924, 0.287, 0.548], [0.938, 0.273, 0.269]]}

***

Going through the records in order, we get calculated formation energy values of -9644, -3802, -3298, -7020, -3045, -948, -6003, -2287, -6625 kJ/mol of formula units.
Going through the records in order, we get volume values of 12.36, 9.81, 10.64, 12.30, 16.30, 11.77, 13.10, 9.37, 12.57 A^3/atom.